Here is CsAlH8N4 after structural relaxation from Materials Project. Energies are from PBE.

Corrected total energy (MP2020 scheme) (eV per atom): -5.2506
VASP energy (eV/atom): -5.15
Space-group type: No. 85

a b c (Å): 7.824 7.824 5.325
angles (deg): 90.00 90.00 90.00
Sites, in units of the cell vectors:
Cs 0.250 0.250 0.214
Cs 0.750 0.750 0.786
Al 0.250 0.750 0.500
Al 0.750 0.250 0.500
H 0.023 0.398 0.662
H 0.076 0.694 0.099
H 0.102 0.023 0.662
H 0.194 0.924 0.901
H 0.306 0.576 0.901
H 0.398 0.477 0.662
H 0.424 0.806 0.099
H 0.477 0.102 0.662
H 0.523 0.898 0.338
H 0.576 0.194 0.901
H 0.602 0.523 0.338
H 0.694 0.424 0.099
H 0.806 0.076 0.099
H 0.898 0.977 0.338
H 0.924 0.306 0.901
H 0.977 0.602 0.338
N 0.089 0.657 0.281
N 0.157 0.911 0.719
N 0.343 0.589 0.719
N 0.411 0.843 0.281
N 0.589 0.157 0.719
N 0.657 0.411 0.281
N 0.843 0.089 0.281
N 0.911 0.343 0.719